1.
First-principles (PBE+U) data for a geometry-optimized Li9Mn2Co5O16 structure, as listed in the Materials Project database.

a = 9.944 Å, b = 2.969 Å, c = 10.057 Å
α = 90.00°, β = 101.29°, γ = 90.00°
Space group Pm (No. 6)
Unique sites:
Li: 0.000 0.000 0.000
Li: 0.000 0.000 0.487
Li: 0.004 0.500 0.252
Li: 0.007 0.500 0.741
Li: 0.528 0.500 0.515
Li: 0.532 0.000 0.748
Li: 0.535 0.500 0.003
Li: 0.539 0.000 0.264
Li: 0.773 0.500 0.375
Mn: 0.264 0.000 0.871
Mn: 0.268 0.500 0.128
Co: 0.265 0.500 0.611
Co: 0.272 0.000 0.382
Co: 0.764 0.000 0.140
Co: 0.765 0.500 0.879
Co: 0.770 0.000 0.618
O: 0.149 0.500 0.442
O: 0.156 0.000 0.697
O: 0.158 0.000 0.174
O: 0.159 0.500 0.936
O: 0.370 0.000 0.061
O: 0.372 0.500 0.822
O: 0.381 0.500 0.301
O: 0.390 0.000 0.575
O: 0.646 0.500 0.186
O: 0.649 0.000 0.941
O: 0.653 0.000 0.463
O: 0.656 0.500 0.698
O: 0.879 0.000 0.799
O: 0.884 0.500 0.566
O: 0.885 0.500 0.048
O: 0.890 0.000 0.296

Calculated values
Total moment, μB per cell: 15.7
Energy above the most stable polymorph in this dataset, eV/atom: 0.092
Energy of formation from the pure elements, meV per atom: -1772

2.
First-principles (PBE+U) data for a geometry-optimized BaCoSe2O6 structure, as listed in the Materials Project database.

a = 15.344 Å, b = 5.556 Å, c = 7.348 Å
α = 90.00°, β = 90.00°, γ = 90.00°
Space group Pnma (No. 62)
Unique sites:
Ba: 0.117 0.250 0.079
Co: 0.125 0.750 0.706
Se: 0.016 0.250 0.628
Se: 0.231 0.250 0.534
O: 0.025 0.011 0.780
O: 0.093 0.750 0.429
O: 0.157 0.750 0.988
O: 0.226 0.007 0.681

Calculated values
Total moment, μB per cell: 12.0
Energy of formation from the pure elements, meV per atom: -1815

3.
First-principles (PBE+U) data for a geometry-optimized MgInNi2SbO6 structure, as listed in the Materials Project database.

a = 5.4122 Å, b = 5.4122 Å, c = 16.0467 Å
α = 90.00°, β = 90.00°, γ = 120.00°
Space group R3 (No. 146, hexagonal axes)
Unique sites:
Mg: 0.0000 0.0000 0.0000
In: 0.0000 0.0000 0.3591
Ni: 0.0000 0.0000 0.1788
Ni: 0.0000 0.0000 0.6127
Sb: 0.0000 0.0000 0.8150
O: 0.0316 0.3583 0.9310
O: 0.0405 0.6808 0.7533

Calculated values
Total moment, μB per cell: 12.0
Energy above the most stable polymorph in this dataset, eV/atom: 0.000
Energy of formation from the pure elements, meV per atom: -1644